[1]
Li5AuO4: optimized geometry, meta-GGA r2SCAN.

Computed properties:
calculated total energy: -10.35 eV per atom

Unit cell a=10.090 b=9.854 c=4.680 alpha=79.28 beta=73.63 gamma=27.11
Positions (direct):
1 Li 0.250 0.250 0.250
2 Li 0.646 0.646 0.354
3 Li 0.354 0.354 0.646
4 Li 0.390 0.391 0.110
5 Li 0.896 0.896 0.604
6 Li 0.110 0.109 0.390
7 Li 0.604 0.604 0.896
8 Li 0.000 0.000 0.000
9 Li 0.860 0.859 0.140
10 Li 0.140 0.141 0.860
11 Au 0.500 0.500 0.500
12 Au 0.750 0.750 0.750
13 O 0.180 0.672 0.824
14 O 0.824 0.324 0.180
15 O 0.426 0.926 0.070
16 O 0.070 0.578 0.426
17 O 0.578 0.070 0.926
18 O 0.926 0.426 0.578
19 O 0.672 0.180 0.324
20 O 0.324 0.824 0.672



[2]
Sr2SiO4: optimized geometry, meta-GGA r2SCAN.

Computed properties:
calculated total energy: -12.29 eV per atom

Unit cell a=7.097 b=5.681 c=11.014 alpha=62.14 beta=90.00 gamma=90.00
Positions (direct):
1 Sr 0.500 0.029 0.197
2 Sr 0.000 0.971 0.303
3 Sr 0.500 0.971 0.803
4 Sr 0.000 0.029 0.697
5 Sr 0.158 0.313 0.923
6 Sr 0.658 0.687 0.577
7 Sr 0.842 0.687 0.077
8 Sr 0.342 0.313 0.423
9 Si 0.721 0.340 0.918
10 Si 0.221 0.660 0.582
11 Si 0.279 0.660 0.082
12 Si 0.779 0.340 0.418
13 O 0.768 0.655 0.822
14 O 0.268 0.345 0.678
15 O 0.232 0.345 0.178
16 O 0.732 0.655 0.322
17 O 0.822 0.156 0.858
18 O 0.322 0.844 0.642
19 O 0.178 0.844 0.142
20 O 0.678 0.156 0.358
21 O 0.819 0.243 0.070
22 O 0.319 0.757 0.430
23 O 0.181 0.757 0.930
24 O 0.681 0.243 0.570
25 O 0.004 0.291 0.430
26 O 0.504 0.709 0.070
27 O 0.996 0.709 0.570
28 O 0.496 0.291 0.930



[3]
BaNa2: optimized geometry, meta-GGA r2SCAN.

Computed properties:
calculated total energy: -11.20 eV per atom

Unit cell a=7.371 b=7.371 c=11.947 alpha=90.00 beta=90.00 gamma=120.00
Positions (direct):
1 Ba 0.333 0.667 0.438
2 Ba 0.667 0.333 0.938
3 Ba 0.667 0.333 0.562
4 Ba 0.333 0.667 0.062
5 Na 0.169 0.338 0.750
6 Na 0.831 0.169 0.250
7 Na 0.338 0.169 0.250
8 Na 0.662 0.831 0.750
9 Na 0.000 0.000 0.000
10 Na 0.000 0.000 0.500
11 Na 0.831 0.662 0.250
12 Na 0.169 0.831 0.750



[4]
EuPSe3: optimized geometry, meta-GGA r2SCAN.

Computed properties:
calculated total energy: -19.20 eV per atom

Unit cell a=7.803 b=6.992 c=11.823 alpha=55.43 beta=90.00 gamma=90.00
Positions (direct):
1 Eu 0.887 0.714 0.748
2 Eu 0.387 0.286 0.752
3 Eu 0.113 0.286 0.252
4 Eu 0.613 0.714 0.248
5 P 0.895 0.374 0.564
6 P 0.395 0.626 0.936
7 P 0.105 0.626 0.436
8 P 0.605 0.374 0.064
9 Se 0.494 0.124 0.266
10 Se 0.994 0.876 0.234
11 Se 0.506 0.876 0.734
12 Se 0.006 0.124 0.766
13 Se 0.697 0.223 0.955
14 Se 0.197 0.777 0.545
15 Se 0.303 0.777 0.045
16 Se 0.803 0.223 0.455
17 Se 0.805 0.601 0.057
18 Se 0.305 0.399 0.443
19 Se 0.195 0.399 0.943
20 Se 0.695 0.601 0.557



[5]
HfTeSe: optimized geometry, meta-GGA r2SCAN.

Computed properties:
calculated total energy: -29.56 eV per atom

Unit cell a=3.884 b=3.884 c=6.770 alpha=90.00 beta=90.00 gamma=120.00
Positions (direct):
1 Hf 0.000 0.000 0.982
2 Te 0.667 0.333 0.251
3 Se 0.333 0.667 0.768



[6]
Cs3YO3: optimized geometry, meta-GGA r2SCAN.

Computed properties:
offset from the most stable computed form: 0.00 eV per formula unit

Unit cell a=7.560 b=8.208 c=12.166 alpha=84.98 beta=90.00 gamma=90.00
Positions (direct):
1 Cs 0.340 0.351 0.077
2 Cs 0.624 0.939 0.158
3 Cs 0.818 0.380 0.190
4 Cs 0.318 0.620 0.310
5 Cs 0.124 0.061 0.342
6 Cs 0.840 0.649 0.423
7 Cs 0.160 0.351 0.577
8 Cs 0.876 0.939 0.658
9 Cs 0.682 0.380 0.690
10 Cs 0.182 0.620 0.810
11 Cs 0.376 0.061 0.842
12 Cs 0.660 0.649 0.923
13 Y 0.089 0.843 0.069
14 Y 0.589 0.157 0.431
15 Y 0.411 0.843 0.569
16 Y 0.911 0.157 0.931
17 O 0.349 0.752 0.050
18 O 0.052 0.106 0.088
19 O 0.949 0.703 0.194
20 O 0.449 0.297 0.306
21 O 0.552 0.894 0.412
22 O 0.849 0.248 0.450
23 O 0.151 0.752 0.550
24 O 0.448 0.106 0.588
25 O 0.551 0.703 0.694
26 O 0.051 0.297 0.806
27 O 0.948 0.894 0.912
28 O 0.651 0.248 0.950



Copy entry 1 word for word.
Li5AuO4: optimized geometry, meta-GGA r2SCAN.

Computed properties:
calculated total energy: -10.35 eV per atom

Unit cell a=10.090 b=9.854 c=4.680 alpha=79.28 beta=73.63 gamma=27.11
Positions (direct):
1 Li 0.250 0.250 0.250
2 Li 0.646 0.646 0.354
3 Li 0.354 0.354 0.646
4 Li 0.390 0.391 0.110
5 Li 0.896 0.896 0.604
6 Li 0.110 0.109 0.390
7 Li 0.604 0.604 0.896
8 Li 0.000 0.000 0.000
9 Li 0.860 0.859 0.140
10 Li 0.140 0.141 0.860
11 Au 0.500 0.500 0.500
12 Au 0.750 0.750 0.750
13 O 0.180 0.672 0.824
14 O 0.824 0.324 0.180
15 O 0.426 0.926 0.070
16 O 0.070 0.578 0.426
17 O 0.578 0.070 0.926
18 O 0.926 0.426 0.578
19 O 0.672 0.180 0.324
20 O 0.324 0.824 0.672